# 1
Entry from Materials Project: a relaxed structure of Mg14FeCu (PBE-GGA).

Lattice parameters (Å, degrees): 6.2697 6.3071 9.7901 90.00 90.00 120.20
With the nearest neighbours (Å) after each atom.
Sites, in units of the cell vectors:
Mg 0.1722 0.3361 0.6250  12 Mg 3.07-3.20
Mg 0.1715 0.8358 0.6250  12 Mg 3.08-3.22
Mg 0.6884 0.3420 0.1250  2 Fe 2.96-3.31, 8 Mg 2.98-3.18, 2 Cu 3.00-3.27
Mg 0.6641 0.3322 0.6250  12 Mg 3.10-3.26
Mg 0.6884 0.8464 0.1250  2 Fe 2.96-3.31, 8 Mg 2.98-3.18, 2 Cu 3.00-3.27
Mg 0.6641 0.8319 0.6250  12 Mg 3.10-3.26
Mg 0.3202 0.1621 0.3516  1 Fe 2.86, 1 Cu 2.87, 6 Mg 2.98-3.20
Mg 0.3202 0.1621 0.8984  1 Fe 2.86, 1 Cu 2.87, 6 Mg 2.98-3.20
Mg 0.3202 0.6581 0.3516  1 Fe 2.86, 1 Cu 2.87, 6 Mg 2.98-3.20
Mg 0.3202 0.6581 0.8984  1 Fe 2.86, 1 Cu 2.87, 6 Mg 2.98-3.20
Mg 0.8416 0.1708 0.3702  1 Fe 2.93, 11 Mg 2.98-3.25
Mg 0.8416 0.1708 0.8798  1 Fe 2.93, 11 Mg 2.98-3.25
Mg 0.8383 0.6692 0.3703  1 Cu 2.96, 11 Mg 2.99-3.22
Mg 0.8383 0.6692 0.8797  1 Cu 2.96, 11 Mg 2.99-3.22
Fe 0.1528 0.3264 0.1250  8 Mg 2.86-2.96, 2 Cu 3.15
Cu 0.1579 0.8289 0.1250  8 Mg 2.87-3.00, 2 Fe 3.15

Output
The value obtained for the energy above the most stable polymorph in this dataset is 0 kJ/mol of formula units. For the magnetization, the calculation gives 2.71 μB per formula unit. The calculation puts the total energy at -33.6 eV per cell. As for the formation energy: 1.38 eV/f.u.


# 2
Entry from Materials Project: a relaxed structure of Mg6FeCu (PBE-GGA).

Lattice parameters (Å, degrees): 4.7633 6.0897 10.3627 90.00 90.00 90.00
With the nearest neighbours (Å) after each atom.
Sites, in units of the cell vectors:
Mg 0.5000 0.7489 0.0836  8 Mg 2.97-3.06, 2 Fe 2.99-3.02, 2 Cu 3.00-3.01
Mg 0.5000 0.2511 0.0836  8 Mg 2.97-3.06, 2 Fe 2.99-3.02, 2 Cu 3.00-3.01
Mg 0.0000 0.7527 0.9104  8 Mg 2.87-3.14, 2 Fe 2.93, 2 Cu 2.95
Mg 0.0000 0.2473 0.9104  8 Mg 2.87-3.14, 2 Fe 2.93, 2 Cu 2.95
Mg 0.0000 0.5000 0.1741  10 Mg 2.87-3.14, 2 Fe 2.89
Mg 0.0000 0.5000 0.6727  10 Mg 2.90-3.11, 2 Cu 2.90
Mg 0.5000 0.2489 0.5836  8 Mg 2.97-3.06, 2 Fe 2.99-3.02, 2 Cu 3.00-3.01
Mg 0.5000 0.7511 0.5836  8 Mg 2.97-3.06, 2 Fe 2.99-3.02, 2 Cu 3.00-3.01
Mg 0.0000 0.2527 0.4104  8 Mg 2.87-3.14, 2 Fe 2.93, 2 Cu 2.95
Mg 0.0000 0.7473 0.4104  8 Mg 2.87-3.14, 2 Fe 2.93, 2 Cu 2.95
Mg 0.0000 0.0000 0.6741  10 Mg 2.87-3.14, 2 Fe 2.89
Mg 0.0000 0.0000 0.1727  10 Mg 2.90-3.11, 2 Cu 2.90
Fe 0.5000 0.5000 0.3319  10 Mg 2.89-3.02, 2 Cu 3.04
Fe 0.5000 0.0000 0.8319  10 Mg 2.89-3.02, 2 Cu 3.04
Cu 0.5000 0.5000 0.8332  10 Mg 2.90-3.01, 2 Fe 3.04
Cu 0.5000 0.0000 0.3332  10 Mg 2.90-3.01, 2 Fe 3.04

Output
The value obtained for the energy above the most stable polymorph in this dataset is 3 kJ/mol of formula units. For the magnetization, the calculation gives 2.50 μB per formula unit. The calculation puts the total energy at -41.8 eV per cell. As for the formation energy: 1.29 eV/f.u.


# 3
Entry from Materials Project: a relaxed structure of Mg14FeCu (PBE-GGA).

Lattice parameters (Å, degrees): 6.2546 6.2546 9.8103 90.00 90.00 120.00
With the nearest neighbours (Å) after each atom.
Sites, in units of the cell vectors:
Mg 0.1671 0.8336 0.1250  10 Mg 3.04-3.13, 2 Fe 3.13
Mg 0.1646 0.8323 0.6250  10 Mg 3.04-3.15, 2 Cu 3.13
Mg 0.6664 0.3329 0.1250  10 Mg 3.04-3.13, 2 Fe 3.13
Mg 0.6677 0.3354 0.6250  10 Mg 3.04-3.15, 2 Cu 3.13
Mg 0.6664 0.8336 0.1250  10 Mg 3.04-3.13, 2 Fe 3.13
Mg 0.6677 0.8323 0.6250  10 Mg 3.04-3.15, 2 Cu 3.13
Mg 0.3254 0.1746 0.3744  10 Mg 2.98-3.28, 1 Fe 2.99, 1 Cu 3.00
Mg 0.3254 0.1746 0.8756  10 Mg 2.98-3.28, 1 Fe 2.99, 1 Cu 3.00
Mg 0.3254 0.6509 0.3744  10 Mg 2.98-3.28, 1 Fe 2.99, 1 Cu 3.00
Mg 0.3254 0.6509 0.8756  10 Mg 2.98-3.28, 1 Fe 2.99, 1 Cu 3.00
Mg 0.8491 0.1746 0.3744  10 Mg 2.98-3.28, 1 Fe 2.99, 1 Cu 3.00
Mg 0.8491 0.1746 0.8756  10 Mg 2.98-3.28, 1 Fe 2.99, 1 Cu 3.00
Mg 0.8333 0.6667 0.3746  12 Mg 3.04-3.13
Mg 0.8333 0.6667 0.8754  12 Mg 3.04-3.13
Fe 0.1667 0.3333 0.1250  12 Mg 2.99-3.13
Cu 0.1667 0.3333 0.6250  12 Mg 3.00-3.13

Output
The value obtained for the energy above the most stable polymorph in this dataset is 3 kJ/mol of formula units. For the magnetization, the calculation gives 2.75 μB per formula unit. The calculation puts the total energy at -33.6 eV per cell. As for the formation energy: 1.42 eV/f.u.


# 4
Entry from Materials Project: a relaxed structure of MgFe2Cu2S4 (PBE-GGA).

Lattice parameters (Å, degrees): 5.4396 5.4670 6.6263 114.52 114.39 89.69
With the nearest neighbours (Å) after each atom.
Sites, in units of the cell vectors:
Mg 0.7418 0.7421 0.4830  4 S 2.39-2.42, 1 Cu 2.68
Fe 0.9998 0.0000 0.9997  4 S 2.27-2.33
Fe 0.2512 0.7507 0.5016  4 S 2.33-2.34
Cu 0.7526 0.2524 0.5037  4 S 2.39-2.42
Cu 0.4931 0.4933 0.9856  4 S 2.29-2.44
S 0.8887 0.8761 0.2430  2 Fe 2.27-2.34, 1 Mg 2.39, 2 Cu 2.42-2.44
S 0.6219 0.1231 0.7548  2 Cu 2.29-2.39, 2 Fe 2.33, 1 Mg 2.42
S 0.3550 0.3671 0.2425  2 Fe 2.27-2.34, 1 Mg 2.39, 2 Cu 2.42-2.44
S 0.1335 0.6326 0.7549  2 Cu 2.29-2.39, 2 Fe 2.33, 1 Mg 2.42

Output
The value obtained for the energy above the most stable polymorph in this dataset is 0 kJ/mol of formula units. For the magnetization, the calculation gives 0.05 μB per formula unit. The calculation puts the total energy at -46.5 eV per cell. As for the formation energy: -5.24 eV/f.u.


# 5
Entry from Materials Project: a relaxed structure of MgFe2Cu2S4 (PBE-GGA).

Lattice parameters (Å, degrees): 5.2053 5.3347 5.3347 89.99 90.00 90.00
With the nearest neighbours (Å) after each atom.
Sites, in units of the cell vectors:
Mg 0.0000 0.5000 0.0000  4 S 2.43, 2 Fe 2.60, 4 Cu 2.67
Fe 0.5001 0.0000 0.5000  4 S 2.16
Fe 0.5000 0.5000 0.0000  4 S 2.23
Cu 0.0000 0.5000 0.5000  4 S 2.40, 2 Mg 2.67
Cu 0.0000 0.0000 0.0000  4 S 2.40, 2 Mg 2.67
S 0.7161 0.2451 0.7451  2 Fe 2.16-2.23, 2 Cu 2.40
S 0.2838 0.7549 0.7451  2 Fe 2.16-2.23, 2 Cu 2.40
S 0.2838 0.2451 0.2549  2 Fe 2.16-2.23, 2 Cu 2.40
S 0.7161 0.7549 0.2549  2 Fe 2.16-2.23, 2 Cu 2.40

Output
The value obtained for the energy above the most stable polymorph in this dataset is 102 kJ/mol of formula units. For the magnetization, the calculation gives 3.84 μB per formula unit. The calculation puts the total energy at -45.5 eV per cell. As for the formation energy: -4.18 eV/f.u.


# 6
Entry from Materials Project: a relaxed structure of MgFe2Cu2S4 (PBE-GGA).

Lattice parameters (Å, degrees): 5.4179 5.2638 6.7279 113.61 113.75 89.99
With the nearest neighbours (Å) after each atom.
Sites, in units of the cell vectors:
Mg 0.3972 0.8749 0.2500  6 S 2.52-2.80, 2 Cu 2.57, 2 Fe 2.69
Fe 0.9603 0.0477 0.0021  4 S 2.26-2.43
Fe 0.2077 0.7018 0.4975  4 S 2.26-2.43
Cu 0.8034 0.2949 0.5289  4 S 2.22-2.47
Cu 0.5260 0.4559 0.9715  4 S 2.22-2.47
S 0.8806 0.8752 0.2501  2 Fe 2.36, 2 Cu 2.42-2.43, 1 Mg 2.62
S 0.5975 0.0891 0.7032  2 Cu 2.22-2.42, 2 Fe 2.26-2.43
S 0.3828 0.3749 0.2499  2 Fe 2.37, 2 Cu 2.47, 2 Mg 2.63
S 0.1445 0.6606 0.7967  2 Cu 2.22-2.42, 2 Fe 2.26-2.43

Output
The value obtained for the energy above the most stable polymorph in this dataset is 20 kJ/mol of formula units. For the magnetization, the calculation gives 7.93 μB per formula unit. The calculation puts the total energy at -46.3 eV per cell. As for the formation energy: -5.03 eV/f.u.


# 7
Entry from Materials Project: a relaxed structure of MgFe2Cu2S4 (PBE-GGA).

Lattice parameters (Å, degrees): 5.2956 5.3225 5.3225 90.04 90.00 90.00
With the nearest neighbours (Å) after each atom.
Sites, in units of the cell vectors:
Mg 0.5003 0.5000 0.5000  4 S 2.34
Fe 0.4995 0.0000 0.5000  4 S 2.25
Fe 0.4995 0.5000 0.0000  4 S 2.25
Cu 0.0002 0.5000 0.5000  4 S 2.45, 2 Mg 2.65
Cu 0.9999 0.0000 0.0000  4 S 2.27
S 0.7320 0.2354 0.7646  2 Fe 2.25, 2 Cu 2.27-2.45, 1 Mg 2.34
S 0.2684 0.7648 0.7648  2 Fe 2.25, 2 Cu 2.27-2.45, 1 Mg 2.34
S 0.2684 0.2352 0.2352  2 Fe 2.25, 2 Cu 2.27-2.45, 1 Mg 2.34
S 0.7320 0.7646 0.2354  2 Fe 2.25, 2 Cu 2.27-2.45, 1 Mg 2.34

Output
The value obtained for the energy above the most stable polymorph in this dataset is 143 kJ/mol of formula units. For the magnetization, the calculation gives 0.41 μB per formula unit. The calculation puts the total energy at -45.0 eV per cell. As for the formation energy: -3.76 eV/f.u.


# 8
Entry from Materials Project: a relaxed structure of NaFeCuSe2 (PBE-GGA).

Lattice parameters (Å, degrees): 4.0275 4.0275 7.1853 90.00 90.00 120.00
With the nearest neighbours (Å) after each atom.
Sites, in units of the cell vectors:
Na 0.0000 0.0000 0.0080  6 Se 2.97-3.04
Fe 0.3333 0.6667 0.6076  4 Se 2.46-2.50
Cu 0.6667 0.3333 0.3839  4 Se 2.47-2.52
Se 0.6667 0.3333 0.7346  3 Fe 2.50, 1 Cu 2.52
Se 0.3333 0.6667 0.2659  1 Fe 2.46, 3 Cu 2.47

Output
For the magnetization, the calculation gives 4.00 μB per formula unit. The calculation puts the total energy at -23.0 eV per cell. As for the formation energy: -3.02 eV/f.u.


# 9
Entry from Materials Project: a relaxed structure of Fe2CuNiPt4 (PBE-GGA).

Lattice parameters (Å, degrees): 2.7199 2.7199 14.8870 90.00 90.00 90.00
With the nearest neighbours (Å) after each atom.
Sites, in units of the cell vectors:
Fe 0.0000 0.0000 0.4989  8 Pt 2.68, 4 Fe 2.72
Fe 0.0000 0.0000 0.7506  8 Pt 2.66-2.69, 4 Fe 2.72
Cu 0.0000 0.0000 0.0016  8 Pt 2.69-2.70, 4 Cu 2.72
Ni 0.0000 0.0000 0.2485  8 Pt 2.63-2.68, 4 Ni 2.72
Pt 0.5000 0.5000 0.1278  4 Ni 2.63, 4 Cu 2.69, 4 Pt 2.72
Pt 0.5000 0.5000 0.3737  4 Ni 2.68, 4 Fe 2.68, 4 Pt 2.72
Pt 0.5000 0.5000 0.6245  8 Fe 2.68-2.69, 4 Pt 2.72
Pt 0.5000 0.5000 0.8743  4 Fe 2.66, 4 Cu 2.70, 4 Pt 2.72

Output
For the magnetization, the calculation gives 7.86 μB per formula unit. The calculation puts the total energy at -52.5 eV per cell. As for the formation energy: -1.36 eV/f.u.